Density functional theory data (PBE) for AgH4C2S2N3 after structural relaxation.

Results
**Calculated formation energy**: -25.7 kJ/mol of atoms
**Size of the total moment**: 0.0 μB/f.u.
**Electronic total energy**: -5.771 eV per atom
**Calculated volume**: 14.250 A^3/atom

Structure (POSCAR):
```
AgH4C2S2N3
1.0
4.155 0.000 -1.766
-4.016 0.000 -7.927
0.000 17.087 0.000
S Ag N C H
8 4 12 8 16
Direct
0.123 0.407 0.852
0.055 0.238 0.532
0.377 0.093 0.352
0.945 0.762 0.468
0.555 0.738 0.968
0.623 0.907 0.648
0.445 0.262 0.032
0.877 0.593 0.148
0.167 0.969 0.577
0.667 0.469 0.923
0.833 0.031 0.423
0.333 0.531 0.077
0.414 0.621 0.623
0.196 0.823 0.841
0.696 0.323 0.659
0.768 0.657 0.719
0.086 0.879 0.123
0.914 0.121 0.877
0.804 0.177 0.159
0.586 0.379 0.377
0.732 0.843 0.219
0.232 0.343 0.281
0.304 0.677 0.341
0.268 0.157 0.781
0.902 0.786 0.164
0.843 0.285 0.606
0.343 0.785 0.894
0.402 0.286 0.336
0.657 0.215 0.106
0.157 0.715 0.394
0.098 0.214 0.836
0.598 0.714 0.664
0.771 0.543 0.725
0.229 0.457 0.275
0.095 0.275 0.246
0.920 0.007 0.870
0.420 0.507 0.630
0.080 0.993 0.130
0.293 0.662 0.579
0.595 0.775 0.254
0.729 0.957 0.225
0.793 0.162 0.921
0.405 0.225 0.746
0.580 0.493 0.370
0.905 0.725 0.754
0.271 0.043 0.775
0.707 0.338 0.421
0.207 0.838 0.079
```